No. 1
A relaxed structure of Cu3As2H16C16Br3N2O2. Source: Materials Project, functional GGA-PBE.

- MP2020-corrected energy (Ha/atom) = -0.219
- spin magnetization (μB per atom) = 0.000

Cell lengths 10.285, 11.850, 11.873 Å; angles 68.25, 80.49, 68.21 degrees
Atoms (fractional coordinates):
1 H 0.611 0.026 0.827
2 H 0.346 0.345 0.924
3 H 0.572 0.917 0.202
4 H 0.479 0.347 0.076
5 H 0.460 0.326 0.727
6 H 0.850 0.031 0.968
7 H 0.150 0.969 0.032
8 H 0.488 0.082 0.110
9 H 0.151 0.694 0.163
10 H 0.478 0.394 0.419
11 H 0.389 0.974 0.173
12 H 0.153 0.982 0.820
13 H 0.882 0.614 0.299
14 H 0.891 0.630 0.085
15 H 0.654 0.655 0.076
16 H 0.109 0.370 0.915
17 H 0.286 0.701 0.313
18 H 0.135 0.160 0.080
19 H 0.847 0.018 0.180
20 H 0.504 0.386 0.269
21 H 0.521 0.653 0.924
22 H 0.628 0.670 0.630
23 H 0.372 0.330 0.370
24 H 0.849 0.306 0.837
25 H 0.865 0.840 0.920
26 H 0.428 0.083 0.798
27 H 0.522 0.606 0.581
28 H 0.118 0.386 0.701
29 H 0.540 0.674 0.273
30 H 0.496 0.614 0.731
31 H 0.714 0.299 0.687
32 H 0.512 0.918 0.890
33 C 0.260 0.687 0.144
34 C 0.250 0.669 0.946
35 C 0.855 0.933 0.161
36 C 0.531 0.338 0.991
37 C 0.476 0.338 0.364
38 C 0.469 0.662 0.009
39 C 0.544 0.663 0.096
40 C 0.866 0.833 0.014
41 C 0.663 0.311 0.772
42 C 0.525 0.000 0.812
43 C 0.524 0.662 0.636
44 C 0.145 0.067 0.839
45 C 0.740 0.313 0.856
46 C 0.134 0.167 0.986
47 C 0.144 0.059 0.959
48 C 0.475 0.000 0.188
49 C 0.146 0.191 0.622
50 C 0.875 0.706 0.228
51 C 0.750 0.331 0.054
52 C 0.337 0.689 0.228
53 C 0.862 0.816 0.255
54 C 0.456 0.337 0.904
55 C 0.877 0.716 0.107
56 C 0.326 0.673 0.033
57 C 0.521 0.324 0.795
58 C 0.856 0.941 0.041
59 C 0.479 0.676 0.205
60 C 0.854 0.809 0.378
61 C 0.125 0.294 0.772
62 C 0.138 0.184 0.745
63 C 0.674 0.327 0.967
64 C 0.123 0.284 0.893
65 N 0.813 0.333 0.126
66 N 0.154 0.196 0.522
67 N 0.846 0.804 0.478
68 N 0.187 0.667 0.874
69 Cu 0.914 0.338 0.240
70 Cu 0.191 0.184 0.363
71 Cu 0.849 0.139 0.452
72 Cu 0.086 0.662 0.760
73 Cu 0.809 0.816 0.637
74 Cu 0.151 0.861 0.548
75 O 0.419 0.907 0.678
76 O 0.581 0.093 0.322
77 O 0.510 0.112 0.557
78 O 0.490 0.888 0.443
79 As 0.425 0.051 0.331
80 As 0.385 0.834 0.578
81 As 0.575 0.949 0.669
82 As 0.615 0.166 0.422
83 Br 0.139 0.374 0.180
84 Br 0.193 0.633 0.572
85 Br 0.932 0.968 0.658
86 Br 0.807 0.367 0.428
87 Br 0.861 0.626 0.820
88 Br 0.068 0.032 0.342

=====

No. 2
A relaxed structure of Na3WN2. Source: Materials Project, functional GGA-PBE.

- MP2020-corrected energy (Ha/atom) = -0.207
- spin magnetization (μB per atom) = 0.000

Cell lengths 13.218, 6.468, 24.804 Å; angles 90.00, 159.76, 104.16 degrees
Atoms (fractional coordinates):
1 N 0.000 0.276 0.819
2 N 0.000 0.724 0.819
3 N 0.449 0.724 0.905
4 N 0.551 0.276 0.456
5 N 0.449 0.224 0.794
6 N 0.551 0.776 0.345
7 N 0.000 0.224 0.431
8 N 0.000 0.776 0.431
9 W 0.000 0.500 0.639
10 W 0.000 0.000 0.389
11 W 0.000 0.500 0.861
12 W 0.000 0.000 0.611
13 Na 0.000 0.500 0.369
14 Na 0.514 0.014 0.507
15 Na 0.000 0.500 0.131
16 Na 0.514 0.000 0.257
17 Na 0.486 0.486 0.743
18 Na 0.486 0.000 0.743
19 Na 0.514 0.514 0.257
20 Na 0.000 0.000 0.881
21 Na 0.000 0.000 0.119
22 Na 0.486 0.500 0.993
23 Na 0.514 0.500 0.507
24 Na 0.486 0.986 0.993

=====

No. 3
A relaxed structure of Mg4Sn5Te3O18. Source: Materials Project, functional GGA-PBE.

- MP2020-corrected energy (Ha/atom) = -0.225
- spin magnetization (μB per atom) = 0.000

Cell lengths 9.207, 9.207, 11.715 Å; angles 87.62, 87.62, 61.75 degrees
Atoms (fractional coordinates):
1 Te 0.000 0.000 0.000
2 Te 0.355 0.333 0.821
3 Te 0.333 0.355 0.321
4 Te 0.645 0.667 0.179
5 Te 0.667 0.645 0.679
6 Te 0.000 0.000 0.500
7 O 0.081 0.065 0.325
8 O 0.575 0.569 0.062
9 O 0.808 0.745 0.844
10 O 0.876 0.593 0.585
11 O 0.236 0.886 0.582
12 O 0.899 0.239 0.579
13 O 0.599 0.222 0.712
14 O 0.459 0.103 0.343
15 O 0.764 0.114 0.418
16 O 0.239 0.899 0.079
17 O 0.407 0.124 0.915
18 O 0.579 0.225 0.178
19 O 0.541 0.897 0.657
20 O 0.103 0.459 0.843
21 O 0.421 0.775 0.822
22 O 0.101 0.761 0.421
23 O 0.225 0.579 0.678
24 O 0.935 0.919 0.175
25 O 0.124 0.407 0.415
26 O 0.255 0.192 0.656
27 O 0.919 0.935 0.675
28 O 0.192 0.255 0.156
29 O 0.569 0.575 0.562
30 O 0.593 0.876 0.085
31 O 0.775 0.421 0.322
32 O 0.114 0.764 0.918
33 O 0.222 0.599 0.212
34 O 0.761 0.101 0.921
35 O 0.431 0.425 0.438
36 O 0.778 0.401 0.788
37 O 0.897 0.541 0.157
38 O 0.065 0.081 0.825
39 O 0.425 0.431 0.938
40 O 0.745 0.808 0.344
41 O 0.886 0.236 0.082
42 O 0.401 0.778 0.288
43 Mg 0.680 0.365 0.459
44 Mg 0.651 0.949 0.926
45 Mg 0.051 0.349 0.574
46 Mg 0.349 0.051 0.074
47 Mg 0.320 0.635 0.541
48 Mg 0.949 0.651 0.426
49 Mg 0.365 0.680 0.959
50 Mg 0.635 0.320 0.041
51 Sn 0.170 0.830 0.250
52 Sn 0.973 0.289 0.227
53 Sn 0.027 0.711 0.773
54 Sn 0.518 0.129 0.578
55 Sn 0.482 0.871 0.422
56 Sn 0.830 0.170 0.750
57 Sn 0.289 0.973 0.727
58 Sn 0.711 0.027 0.273
59 Sn 0.871 0.482 0.922
60 Sn 0.129 0.518 0.078

=====

No. 4
A relaxed structure of MgMnFeS4. Source: Materials Project, functional GGA-PBE.

- MP2020-corrected energy (Ha/atom) = -0.223
- spin magnetization (μB per atom) = 0.429

Cell lengths 7.080, 7.091, 7.094 Å; angles 59.76, 60.09, 60.08 degrees
Atoms (fractional coordinates):
1 S 0.749 0.729 0.729
2 S 0.257 0.701 0.284
3 S 0.743 0.299 0.716
4 S 0.251 0.271 0.271
5 S 0.708 0.271 0.271
6 S 0.257 0.284 0.701
7 S 0.743 0.716 0.299
8 S 0.292 0.729 0.729
9 Fe 0.000 0.500 0.500
10 Fe 0.500 0.500 0.500
11 Mg 0.127 0.123 0.123
12 Mg 0.873 0.877 0.877
13 Mn 0.500 0.500 0.000
14 Mn 0.500 0.000 0.500

=====

No. 5
A relaxed structure of V11ReB8. Source: Materials Project, functional GGA-PBE.

- spin magnetization (μB per atom) = 0.000

Cell lengths 3.030, 5.751, 11.504 Å; angles 89.99, 90.00, 90.00 degrees
Atoms (fractional coordinates):
1 V 0.500 0.827 0.091
2 V 0.500 0.173 0.909
3 V 0.000 0.500 0.500
4 V 0.500 0.678 0.339
5 V 0.500 0.320 0.164
6 V 0.000 0.000 0.251
7 V 0.500 0.322 0.661
8 V 0.500 0.680 0.836
9 V 0.500 0.178 0.412
10 V 0.500 0.822 0.588
11 V 0.000 0.000 0.749
12 B 0.000 0.111 0.555
13 B 0.000 0.612 0.195
14 B 0.000 0.388 0.805
15 B 0.000 0.889 0.944
16 B 0.000 0.388 0.307
17 B 0.000 0.889 0.445
18 B 0.000 0.111 0.056
19 B 0.000 0.612 0.693
20 Re 0.000 0.500 0.000

=====

No. 6
A relaxed structure of Na7Y3ZnP6O24. Source: Materials Project, functional GGA-PBE.

- MP2020-corrected energy (Ha/atom) = -0.270
- spin magnetization (μB per atom) = 0.000

Cell lengths 9.334, 9.330, 22.906 Å; angles 89.67, 90.07, 120.08 degrees
Atoms (fractional coordinates):
1 Na 0.635 0.015 0.242
2 Na 0.666 0.971 0.586
3 Na 0.335 0.304 0.918
4 Na 0.026 0.696 0.587
5 Na 0.969 0.286 0.407
6 Na 0.381 0.363 0.244
7 Na 0.668 0.694 0.088
8 Na 0.334 0.649 0.663
9 Na 0.314 0.647 0.164
10 Na 0.315 0.027 0.408
11 Na 0.666 0.333 0.322
12 Na 0.719 0.689 0.407
13 Na 0.982 0.622 0.242
14 Na 0.979 0.358 0.743
15 Na 0.308 0.974 0.088
16 Na 0.693 0.027 0.920
17 Na 0.014 0.013 0.492
18 Na 0.640 0.622 0.740
19 Na 0.000 0.999 0.001
20 Na 0.682 0.347 0.828
21 Na 0.385 0.022 0.740
22 O 0.975 0.178 0.588
23 O 0.205 0.176 0.088
24 O 0.646 0.510 0.920
25 O 0.677 0.548 0.532
26 O 0.147 0.667 0.087
27 O 0.801 0.019 0.804
28 O 0.199 0.986 0.197
29 O 0.872 0.350 0.641
30 O 0.650 0.118 0.141
31 O 0.887 0.544 0.149
32 O 0.979 0.204 0.313
33 O 0.983 0.812 0.089
34 O 0.498 0.854 0.085
35 O 0.835 0.313 0.249
36 O 0.134 0.687 0.472
37 O 0.170 0.181 0.411
38 O 0.151 0.671 0.750
39 O 0.525 0.678 0.254
40 O 0.782 0.982 0.695
41 O 0.838 0.514 0.745
42 O 0.682 0.523 0.250
43 O 0.346 0.887 0.862
44 O 0.862 0.543 0.038
45 O 0.519 0.849 0.752
46 O 0.850 0.327 0.917
47 O 0.308 0.451 0.464
48 O 0.681 0.161 0.746
49 O 0.482 0.351 0.141
50 O 0.017 0.831 0.413
51 O 0.552 0.865 0.472
52 O 0.019 0.211 0.204
53 O 0.360 0.494 0.084
54 O 0.536 0.886 0.363
55 O 0.355 0.853 0.585
56 O 0.853 0.518 0.420
57 O 0.804 0.786 0.308
58 O 0.463 0.323 0.030
59 O 0.540 0.681 0.972
60 O 0.015 0.181 0.915
61 O 0.482 0.337 0.418
62 O 0.978 0.785 0.797
63 O 0.148 0.480 0.255
64 O 0.323 0.849 0.254
65 O 0.103 0.443 0.853
66 O 0.193 0.213 0.702
67 O 0.140 0.456 0.963
68 O 0.517 0.666 0.585
69 O 0.808 0.995 0.087
70 O 0.017 0.790 0.689
71 O 0.326 0.875 0.973
72 O 0.186 0.004 0.917
73 O 0.116 0.649 0.363
74 O 0.529 0.654 0.863
75 O 0.672 0.124 0.029
76 O 0.452 0.122 0.529
77 O 0.656 0.539 0.643
78 O 0.468 0.116 0.641
79 O 0.815 0.985 0.414
80 O 0.663 0.147 0.420
81 O 0.804 0.828 0.916
82 O 0.232 0.210 0.810
83 O 0.351 0.456 0.356
84 O 0.188 0.996 0.586
85 O 0.217 0.022 0.307
86 O 0.135 0.495 0.584
87 O 0.827 0.811 0.587
88 O 0.479 0.162 0.248
89 O 0.498 0.149 0.919
90 O 0.484 0.320 0.746
91 O 0.336 0.485 0.753
92 O 0.861 0.324 0.531
93 O 0.787 0.802 0.198
94 P 0.994 0.301 0.256
95 P 0.660 0.027 0.086
96 P 0.696 0.004 0.749
97 P 0.968 0.638 0.091
98 P 0.668 0.637 0.587
99 P 0.312 0.307 0.753
100 P 0.377 0.336 0.086
101 P 0.701 0.697 0.253
102 P 0.027 0.355 0.912
103 P 0.337 0.976 0.918
104 P 0.961 0.336 0.586
105 P 0.327 0.356 0.413
106 P 0.304 0.006 0.252
107 P 0.995 0.689 0.745
108 P 0.367 0.026 0.586
109 P 0.643 0.972 0.417
110 P 0.030 0.672 0.417
111 P 0.632 0.667 0.918
112 Y 0.660 0.334 0.485
113 Y 0.318 0.657 0.018
114 Y 0.001 0.991 0.849
115 Y 0.683 0.343 0.984
116 Y 0.327 0.668 0.817
117 Y 0.000 0.011 0.152
118 Y 0.334 0.668 0.318
119 Y 0.333 0.658 0.518
120 Y 0.009 0.009 0.649
121 Zn 0.659 0.333 0.676
122 Zn 0.001 0.001 0.342
123 Zn 0.674 0.332 0.177

=====

No. 7
A relaxed structure of PrYAl6. Source: Materials Project, functional GGA-PBE.

Cell lengths 6.432, 6.432, 4.599 Å; angles 90.00, 90.00, 120.00 degrees
Atoms (fractional coordinates):
1 Al 0.285 0.143 0.500
2 Al 0.857 0.715 0.500
3 Al 0.857 0.143 0.500
4 Al 0.709 0.855 0.000
5 Al 0.145 0.291 0.000
6 Al 0.145 0.855 0.000
7 Y 0.333 0.667 0.500
8 Pr 0.667 0.333 0.000

=====

Looking at formation energy for the records above, in order, we have -0.1599, -0.0361, -1.9448, -0.9533, -0.7216, -2.9177, -0.4291 eV per atom.